1.
# CaSb4O9

CaSb4O9 after structural relaxation (PBE-GGA, the Materials Project).

Unit cell a=5.5171 b=8.9342 c=9.8322 alpha=95.46 beta=98.51 gamma=92.53
Closest atoms and distances in Å follow each position.
Fractional positions:
Ca (0.1918, 0.2648, 0.2310)  5 O 2.33-2.58
Ca (0.8082, 0.7352, 0.7690)  5 O 2.33-2.58
Sb (0.2406, 0.4229, 0.5634)  4 O 2.05-2.28
Sb (0.2804, 0.8089, 0.5036)  3 O 1.97-2.07
Sb (0.3295, 0.0238, 0.8471)  3 O 1.85-2.01
Sb (0.3888, 0.6527, 0.0263)  4 O 1.84-2.04
Sb (0.6112, 0.3473, 0.9737)  4 O 1.84-2.04
Sb (0.6705, 0.9762, 0.1529)  3 O 1.85-2.01
Sb (0.7196, 0.1911, 0.4964)  3 O 1.97-2.07
Sb (0.7594, 0.5771, 0.4366)  4 O 2.05-2.28
O (0.0055, 0.0170, 0.1644)  1 Sb 1.85
O (0.0430, 0.2254, 0.4381)  2 Sb 1.97-2.20
O (0.0606, 0.6725, 0.9648)  1 Sb 1.84
O (0.1060, 0.5182, 0.3878)  2 Sb 2.05-2.12
O (0.4326, 0.2318, 0.8060)  2 Sb 1.96-2.01
O (0.4335, 0.4542, 0.1116)  2 Sb 1.99-2.04
O (0.4437, 0.9393, 0.6811)  2 Sb 1.93-2.07
O (0.4641, 0.6470, 0.5946)  1 Sb 2.01
O (0.4735, 0.1364, 0.0466)  3 Sb 2.10-2.22
O (0.5265, 0.8636, 0.9534)  3 Sb 2.10-2.22
O (0.5359, 0.3530, 0.4054)  1 Sb 2.01
O (0.5563, 0.0607, 0.3189)  2 Sb 1.93-2.07
O (0.5665, 0.5458, 0.8884)  2 Sb 1.99-2.04
O (0.5674, 0.7682, 0.1940)  2 Sb 1.96-2.01
O (0.8940, 0.4818, 0.6122)  2 Sb 2.05-2.12
O (0.9394, 0.3275, 0.0352)  1 Sb 1.84
O (0.9570, 0.7746, 0.5619)  2 Sb 1.97-2.20
O (0.9945, 0.9830, 0.8356)  1 Sb 1.85

Summary:
For the final energy, the calculation gives -0.4399 Ry per atom. The energy of formation from the pure elements comes out at -1.923 eV/atom. The value obtained for the MP2020-corrected energy is -179.9 eV/cell.

---

2.
# CaSb2O4

CaSb2O4 after structural relaxation (PBE-GGA, the Materials Project).

Unit cell a=6.8639 b=6.8639 c=17.3610 alpha=90.00 beta=90.00 gamma=120.00
Closest atoms and distances in Å follow each position.
Fractional positions:
Ca (0.0000, 0.0000, 0.0000)  4 O 2.20-2.28
Ca (0.0000, 0.0000, 0.2558)  4 O 2.36-2.42
Ca (0.0000, 0.0000, 0.6305)  6 O 2.33-2.46
Ca (0.3333, 0.6667, 0.5866)  4 O 2.36-2.40
Ca (0.6667, 0.3333, 0.2983)  6 O 2.35-2.48
Ca (0.6667, 0.3333, 0.9140)  3 O 2.27
Sb (0.1682, 0.3364, 0.7958)  6 O 2.24-2.48
Sb (0.1682, 0.8318, 0.7958)  6 O 2.24-2.48
Sb (0.3274, 0.1637, 0.4648)  3 O 2.19-2.29
Sb (0.3333, 0.6667, 0.3364)  4 O 2.12-2.17
Sb (0.3333, 0.6667, 0.9711)  3 O 2.13
Sb (0.5043, 0.0085, 0.1324)  4 O 2.22-2.45
Sb (0.5043, 0.4957, 0.1324)  4 O 2.22-2.45
Sb (0.6636, 0.8318, 0.7958)  6 O 2.24-2.48
Sb (0.6667, 0.3333, 0.6735)  4 O 2.14
Sb (0.8363, 0.1637, 0.4648)  3 O 2.19-2.29
Sb (0.8363, 0.6726, 0.4648)  3 O 2.19-2.29
Sb (0.9915, 0.4957, 0.1324)  4 O 2.22-2.45
O (0.0000, 0.0000, 0.3952)  3 Sb 2.29, 1 Ca 2.42
O (0.0000, 0.0000, 0.8733)  1 Ca 2.20, 3 Sb 2.41
O (0.0166, 0.5083, 0.8615)  2 Sb 2.24, 1 Ca 2.27
O (0.1481, 0.2963, 0.5317)  2 Sb 2.19, 1 Ca 2.40
O (0.1481, 0.8519, 0.5317)  2 Sb 2.19, 1 Ca 2.40
O (0.1833, 0.3667, 0.0386)  1 Sb 2.13, 1 Ca 2.28
O (0.1833, 0.8167, 0.0386)  1 Sb 2.13, 1 Ca 2.28
O (0.3210, 0.1605, 0.7080)  1 Sb 2.14, 1 Ca 2.33
O (0.3333, 0.6667, 0.2116)  1 Sb 2.17
O (0.3333, 0.6667, 0.7224)  3 Sb 2.34, 1 Ca 2.36
O (0.3617, 0.1808, 0.2004)  2 Sb 2.22, 1 Ca 2.36
O (0.4917, 0.5083, 0.8615)  2 Sb 2.24, 1 Ca 2.27
O (0.4917, 0.9834, 0.8615)  2 Sb 2.24, 1 Ca 2.27
O (0.5030, 0.0060, 0.3746)  1 Sb 2.12, 1 Ca 2.35
O (0.5030, 0.4970, 0.3746)  1 Sb 2.12, 1 Ca 2.35
O (0.6333, 0.8167, 0.0386)  1 Sb 2.13, 1 Ca 2.28
O (0.6667, 0.3333, 0.0612)  3 Sb 2.29, 1 Ca 2.56
O (0.6667, 0.3333, 0.5500)  1 Sb 2.14
O (0.7037, 0.8519, 0.5317)  2 Sb 2.19, 1 Ca 2.40
O (0.8192, 0.1808, 0.2004)  2 Sb 2.22, 1 Ca 2.36
O (0.8192, 0.6383, 0.2004)  2 Sb 2.22, 1 Ca 2.36
O (0.8395, 0.1605, 0.7080)  1 Sb 2.14, 1 Ca 2.33
O (0.8395, 0.6790, 0.7080)  1 Sb 2.14, 1 Ca 2.33
O (0.9940, 0.4970, 0.3746)  1 Sb 2.12, 1 Ca 2.35

Summary:
Its distance to the lowest polymorph of the same formula is 203.4 meV/atom. For the final energy, the calculation gives -0.4320 Ry per atom. The energy of formation from the pure elements comes out at -1.977 eV/atom. The value obtained for the MP2020-corrected energy is -263.4 eV/cell.

---

3.
# CaSb2O5

CaSb2O5 after structural relaxation (PBE-GGA, the Materials Project).

Unit cell a=3.8783 b=13.4535 c=5.1618 alpha=90.00 beta=90.00 gamma=90.00
Closest atoms and distances in Å follow each position.
Fractional positions:
Ca (0.2500, 0.2500, 0.1053)  8 O 2.54-2.80
Ca (0.7500, 0.7500, 0.8947)  8 O 2.54-2.80
Sb (0.2500, 0.6102, 0.4231)  4 O 1.91-2.06
Sb (0.2500, 0.8898, 0.4231)  4 O 1.91-2.06
Sb (0.7500, 0.1102, 0.5769)  4 O 1.91-2.06
Sb (0.7500, 0.3898, 0.5769)  4 O 1.91-2.06
O (0.2500, 0.0894, 0.4507)  2 Sb 2.06
O (0.2500, 0.4106, 0.4507)  2 Sb 2.06
O (0.2500, 0.6445, 0.0633)  1 Sb 1.91
O (0.2500, 0.7500, 0.5781)  2 Sb 2.04
O (0.2500, 0.8555, 0.0633)  1 Sb 1.91
O (0.7500, 0.1445, 0.9367)  1 Sb 1.91
O (0.7500, 0.2500, 0.4219)  2 Sb 2.04
O (0.7500, 0.3555, 0.9367)  1 Sb 1.91
O (0.7500, 0.5894, 0.5493)  2 Sb 2.06
O (0.7500, 0.9106, 0.5493)  2 Sb 2.06

Summary:
Its distance to the lowest polymorph of the same formula is 0.0 meV/atom. For the final energy, the calculation gives -0.4404 Ry per atom. The energy of formation from the pure elements comes out at -2.046 eV/atom. The value obtained for the MP2020-corrected energy is -102.7 eV/cell.

---

4.
# Ca2Sb3O8

Ca2Sb3O8 after structural relaxation (PBE-GGA, the Materials Project).

Unit cell a=6.6528 b=6.6528 c=5.4715 alpha=107.89 beta=107.89 gamma=61.29
Closest atoms and distances in Å follow each position.
Fractional positions:
Ca (0.2199, 0.2199, 0.1547)  6 O 2.33-2.58
Ca (0.7801, 0.7801, 0.8453)  6 O 2.33-2.58
Sb (0.2335, 0.7665, 0.5000)  4 O 2.10-2.26
Sb (0.5000, 0.5000, 0.0000)  6 O 2.04-2.05
Sb (0.7665, 0.2335, 0.5000)  4 O 2.10-2.26
O (0.1048, 0.1048, 0.4298)  2 Sb 2.10, 1 Ca 2.33
O (0.1791, 0.5941, 0.0749)  2 Sb 2.05-2.26
O (0.3927, 0.3927, 0.6122)  1 Sb 2.04
O (0.4059, 0.8209, 0.9251)  2 Sb 2.05-2.26
O (0.5941, 0.1791, 0.0749)  2 Sb 2.05-2.26
O (0.6073, 0.6073, 0.3878)  1 Sb 2.04
O (0.8209, 0.4059, 0.9251)  2 Sb 2.05-2.26
O (0.8952, 0.8952, 0.5702)  2 Sb 2.10, 1 Ca 2.33

Summary:
Its distance to the lowest polymorph of the same formula is 0.0 meV/atom. For the final energy, the calculation gives -0.4495 Ry per atom. The energy of formation from the pure elements comes out at -2.233 eV/atom. The value obtained for the MP2020-corrected energy is -85.0 eV/cell.

---

5.
# Ca2Sb3O8

Ca2Sb3O8 after structural relaxation (PBE-GGA, the Materials Project).

Unit cell a=6.7330 b=6.7330 c=10.3441 alpha=90.00 beta=90.00 gamma=120.00
Closest atoms and distances in Å follow each position.
Fractional positions:
Ca (0.3333, 0.6667, 0.0000)  6 O 2.38-2.41
Ca (0.3333, 0.6667, 0.3723)  4 O 2.27-2.37
Ca (0.6667, 0.3333, 0.5000)  6 O 2.38-2.41
Ca (0.6667, 0.3333, 0.8723)  4 O 2.27-2.37
Sb (0.1647, 0.3294, 0.7143)  6 O 2.11-2.29
Sb (0.1647, 0.8353, 0.7143)  6 O 2.11-2.29
Sb (0.3294, 0.1647, 0.2143)  6 O 2.11-2.29
Sb (0.6706, 0.8353, 0.7143)  6 O 2.11-2.29
Sb (0.8353, 0.1647, 0.2143)  6 O 2.11-2.29
Sb (0.8353, 0.6706, 0.2143)  6 O 2.11-2.29
O (0.0000, 0.0000, 0.3138)  3 Sb 2.18
O (0.0000, 0.0000, 0.8138)  3 Sb 2.18
O (0.0490, 0.5245, 0.8307)  2 Sb 2.19, 2 Ca 2.27-2.41
O (0.1624, 0.3248, 0.1265)  2 Sb 2.11
O (0.1624, 0.8376, 0.1265)  2 Sb 2.11
O (0.3248, 0.1624, 0.6265)  2 Sb 2.11
O (0.3333, 0.6667, 0.6018)  3 Sb 2.29, 1 Ca 2.37
O (0.4755, 0.5245, 0.8307)  2 Sb 2.19, 2 Ca 2.27-2.41
O (0.4755, 0.9510, 0.8307)  2 Sb 2.19, 2 Ca 2.27-2.41
O (0.5245, 0.0490, 0.3307)  2 Sb 2.19, 2 Ca 2.27-2.41
O (0.5245, 0.4755, 0.3307)  2 Sb 2.19, 2 Ca 2.27-2.41
O (0.6667, 0.3333, 0.1018)  3 Sb 2.29, 1 Ca 2.37
O (0.6752, 0.8376, 0.1265)  2 Sb 2.11
O (0.8376, 0.1624, 0.6265)  2 Sb 2.11
O (0.8376, 0.6752, 0.6265)  2 Sb 2.11
O (0.9510, 0.4755, 0.3307)  2 Sb 2.19, 2 Ca 2.27-2.41

Summary:
Its distance to the lowest polymorph of the same formula is 58.3 meV/atom. For the final energy, the calculation gives -0.4453 Ry per atom. The energy of formation from the pure elements comes out at -2.175 eV/atom. The value obtained for the MP2020-corrected energy is -168.5 eV/cell.

---

6.
# CaSb2O5

CaSb2O5 after structural relaxation (PBE-GGA, the Materials Project).

Unit cell a=5.9579 b=5.9579 c=12.9131 alpha=90.00 beta=90.00 gamma=139.81
Closest atoms and distances in Å follow each position.
Fractional positions:
Ca (0.0936, 0.9064, 0.7500)  4 O 2.19-2.44
Ca (0.9064, 0.0936, 0.2500)  4 O 2.19-2.44
Sb (0.2056, 0.7944, 0.1017)  1 O 1.87
Sb (0.2056, 0.7944, 0.3983)  1 O 1.87
Sb (0.7944, 0.2056, 0.6017)  1 O 1.87
Sb (0.7944, 0.2056, 0.8983)  1 O 1.87
O (0.0408, 0.9592, 0.1268)  1 Sb 1.87
O (0.0408, 0.9592, 0.3732)  1 Sb 1.87
O (0.2429, 0.7571, 0.5830)  2 Sb 2.14
O (0.2429, 0.7571, 0.9170)  2 Sb 2.14
O (0.2872, 0.7128, 0.2500)  2 Sb 2.12
O (0.7128, 0.2872, 0.7500)  2 Sb 2.12
O (0.7571, 0.2429, 0.0830)  2 Sb 2.14
O (0.7571, 0.2429, 0.4170)  2 Sb 2.14
O (0.9592, 0.0408, 0.6268)  1 Sb 1.87
O (0.9592, 0.0408, 0.8732)  1 Sb 1.87

Summary:
Its distance to the lowest polymorph of the same formula is 33.0 meV/atom. For the final energy, the calculation gives -0.4380 Ry per atom. The energy of formation from the pure elements comes out at -2.013 eV/atom. The value obtained for the MP2020-corrected energy is -102.2 eV/cell.

---

> Which value of energy of formation from the pure elements does entry 4 give?

-2.233 eV/atom

---

> Which value of final energy does entry 2 give?

-0.4320 Ry per atom

---

> Which formula does entry 5 have?

Ca2Sb3O8

---

Copy entry 5 word for word.
# Ca2Sb3O8

Ca2Sb3O8 after structural relaxation (PBE-GGA, the Materials Project).

Unit cell a=6.7330 b=6.7330 c=10.3441 alpha=90.00 beta=90.00 gamma=120.00
Closest atoms and distances in Å follow each position.
Fractional positions:
Ca (0.3333, 0.6667, 0.0000)  6 O 2.38-2.41
Ca (0.3333, 0.6667, 0.3723)  4 O 2.27-2.37
Ca (0.6667, 0.3333, 0.5000)  6 O 2.38-2.41
Ca (0.6667, 0.3333, 0.8723)  4 O 2.27-2.37
Sb (0.1647, 0.3294, 0.7143)  6 O 2.11-2.29
Sb (0.1647, 0.8353, 0.7143)  6 O 2.11-2.29
Sb (0.3294, 0.1647, 0.2143)  6 O 2.11-2.29
Sb (0.6706, 0.8353, 0.7143)  6 O 2.11-2.29
Sb (0.8353, 0.1647, 0.2143)  6 O 2.11-2.29
Sb (0.8353, 0.6706, 0.2143)  6 O 2.11-2.29
O (0.0000, 0.0000, 0.3138)  3 Sb 2.18
O (0.0000, 0.0000, 0.8138)  3 Sb 2.18
O (0.0490, 0.5245, 0.8307)  2 Sb 2.19, 2 Ca 2.27-2.41
O (0.1624, 0.3248, 0.1265)  2 Sb 2.11
O (0.1624, 0.8376, 0.1265)  2 Sb 2.11
O (0.3248, 0.1624, 0.6265)  2 Sb 2.11
O (0.3333, 0.6667, 0.6018)  3 Sb 2.29, 1 Ca 2.37
O (0.4755, 0.5245, 0.8307)  2 Sb 2.19, 2 Ca 2.27-2.41
O (0.4755, 0.9510, 0.8307)  2 Sb 2.19, 2 Ca 2.27-2.41
O (0.5245, 0.0490, 0.3307)  2 Sb 2.19, 2 Ca 2.27-2.41
O (0.5245, 0.4755, 0.3307)  2 Sb 2.19, 2 Ca 2.27-2.41
O (0.6667, 0.3333, 0.1018)  3 Sb 2.29, 1 Ca 2.37
O (0.6752, 0.8376, 0.1265)  2 Sb 2.11
O (0.8376, 0.1624, 0.6265)  2 Sb 2.11
O (0.8376, 0.6752, 0.6265)  2 Sb 2.11
O (0.9510, 0.4755, 0.3307)  2 Sb 2.19, 2 Ca 2.27-2.41

Summary:
Its distance to the lowest polymorph of the same formula is 58.3 meV/atom. For the final energy, the calculation gives -0.4453 Ry per atom. The energy of formation from the pure elements comes out at -2.175 eV/atom. The value obtained for the MP2020-corrected energy is -168.5 eV/cell.